CaYCd2 (meta-GGA r2SCAN, relaxed); theoretical density = 5.5 g/cm3; raw total energy = -17.28 eV per atom
1.0
0.000 3.762 3.762
3.762 0.000 3.762
3.762 3.762 0.000
Ca Y Cd
1 1 2
direct
0.000 0.000 0.000 Ca
0.500 0.500 0.500 Y
0.250 0.250 0.250 Cd
0.750 0.750 0.750 Cd